Material: Rb3DyCl6
Method: DFT, GGA-PBE
State: optimized geometry

Lattice parameters (Å, degrees): 13.676 13.676 12.966 99.17 99.17 34.05
Atoms (fractional coordinates):
Rb: 0.034 0.658 0.856
Rb: 0.151 0.525 0.200
Rb: 0.198 0.703 0.567
Rb: 0.297 0.802 0.933
Rb: 0.342 0.966 0.644
Rb: 0.475 0.849 0.300
Rb: 0.525 0.151 0.700
Rb: 0.658 0.034 0.356
Rb: 0.703 0.198 0.067
Rb: 0.802 0.297 0.433
Rb: 0.849 0.475 0.800
Rb: 0.966 0.342 0.144
Dy: 0.000 0.500 0.500
Dy: 0.284 0.716 0.250
Dy: 0.500 0.000 0.000
Dy: 0.716 0.284 0.750
Cl: 0.004 0.114 0.679
Cl: 0.114 0.004 0.179
Cl: 0.123 0.223 0.419
Cl: 0.140 0.359 0.686
Cl: 0.217 0.667 0.066
Cl: 0.223 0.123 0.919
Cl: 0.283 0.363 0.465
Cl: 0.333 0.783 0.434
Cl: 0.359 0.140 0.186
Cl: 0.363 0.283 0.965
Cl: 0.414 0.468 0.804
Cl: 0.468 0.414 0.304
Cl: 0.532 0.586 0.696
Cl: 0.586 0.532 0.196
Cl: 0.637 0.717 0.035
Cl: 0.641 0.860 0.814
Cl: 0.667 0.217 0.566
Cl: 0.717 0.637 0.535
Cl: 0.777 0.877 0.081
Cl: 0.783 0.333 0.934
Cl: 0.860 0.641 0.314
Cl: 0.877 0.777 0.581
Cl: 0.886 0.996 0.821
Cl: 0.996 0.886 0.321

Output
Energy   -4.000 eV per atom
Space group   C2/c (15)